Entry w
Li2CoSi2O6: optimized geometry, PBE+U.

## Properties
Its space group is C2/c, No. 15. The value obtained for the magnetic moment is 0.00 Bohr magnetons per cell.

Cell lengths 5.639, 5.639, 9.354 Å; angles 90.24, 90.24, 117.76 degrees
Atoms (fractional coordinates):
1 Li 0.105 0.770 0.617
2 Li 0.230 0.895 0.883
3 Li 0.770 0.105 0.117
4 Li 0.895 0.230 0.383
5 Co 0.249 0.751 0.250
6 Co 0.751 0.249 0.750
7 Si 0.301 0.361 0.635
8 Si 0.361 0.301 0.135
9 Si 0.639 0.699 0.865
10 Si 0.699 0.639 0.365
11 O 0.010 0.735 0.410
12 O 0.127 0.360 0.203
13 O 0.265 0.990 0.090
14 O 0.360 0.127 0.703
15 O 0.384 0.616 0.750
16 O 0.500 0.500 0.000
17 O 0.500 0.500 0.500
18 O 0.616 0.384 0.250
19 O 0.640 0.873 0.297
20 O 0.735 0.010 0.910
21 O 0.873 0.640 0.797
22 O 0.990 0.265 0.590



Entry x
Li2CoSi2O6: optimized geometry, PBE+U.

## Properties
The value obtained for the magnetic moment is 0.00 Bohr magnetons per cell.

Cell lengths 5.483, 9.714, 9.540 Å; angles 90.00, 90.00, 86.88 degrees
Atoms (fractional coordinates):
1 Li 0.353 0.334 0.399
2 Li 0.353 0.334 0.899
3 Li 0.647 0.666 0.149
4 Li 0.647 0.666 0.649
5 Li 0.162 0.487 0.149
6 Li 0.162 0.487 0.649
7 Li 0.838 0.513 0.399
8 Li 0.838 0.513 0.899
9 Co 0.232 0.148 0.651
10 Co 0.768 0.852 0.901
11 Co 0.232 0.148 0.151
12 Co 0.768 0.852 0.401
13 Si 0.876 0.176 0.396
14 Si 0.876 0.176 0.896
15 Si 0.124 0.824 0.146
16 Si 0.124 0.824 0.646
17 Si 0.692 0.340 0.147
18 Si 0.692 0.340 0.647
19 Si 0.308 0.660 0.397
20 Si 0.308 0.660 0.897
21 O 0.736 0.042 0.359
22 O 0.736 0.042 0.859
23 O 0.264 0.958 0.109
24 O 0.264 0.958 0.609
25 O 0.158 0.187 0.349
26 O 0.158 0.187 0.849
27 O 0.842 0.813 0.099
28 O 0.842 0.813 0.599
29 O 0.871 0.216 0.069
30 O 0.871 0.216 0.569
31 O 0.129 0.784 0.319
32 O 0.129 0.784 0.819
33 O 0.717 0.315 0.322
34 O 0.717 0.315 0.822
35 O 0.283 0.685 0.072
36 O 0.283 0.685 0.572
37 O 0.407 0.322 0.104
38 O 0.407 0.322 0.604
39 O 0.593 0.678 0.354
40 O 0.593 0.678 0.854
41 O 0.801 0.486 0.108
42 O 0.801 0.486 0.608
43 O 0.199 0.514 0.358
44 O 0.199 0.514 0.858



Tell me which of them is the least stable. Sure, it is entry x.



Entry w
Li2CoSi2O6: optimized geometry, PBE+U.

## Properties
Its space group is Fdd2, No. 43. The value obtained for the magnetic moment is 18.00 Bohr magnetons per cell.

Cell lengths 15.733, 11.979, 11.144 Å; angles 85.67, 49.40, 44.93 degrees
Atoms (fractional coordinates):
1 Li 0.000 0.000 0.000
2 Li 0.192 0.926 0.587
3 Li 0.250 0.250 0.250
4 Li 0.276 0.640 0.368
5 Li 0.344 0.344 0.656
6 Li 0.534 0.882 0.610
7 Li 0.594 0.594 0.906
8 Li 0.640 0.276 0.716
9 Li 0.663 0.955 0.058
10 Li 0.882 0.534 0.974
11 Li 0.926 0.192 0.295
12 Li 0.955 0.663 0.324
13 Co 0.066 0.772 0.767
14 Co 0.121 0.121 0.879
15 Co 0.371 0.371 0.129
16 Co 0.483 0.854 0.184
17 Co 0.772 0.066 0.396
18 Co 0.854 0.483 0.478
19 Si 0.037 0.428 0.074
20 Si 0.080 0.080 0.420
21 Si 0.168 0.449 0.548
22 Si 0.176 0.789 0.213
23 Si 0.415 0.702 0.801
24 Si 0.428 0.037 0.461
25 Si 0.449 0.168 0.835
26 Si 0.504 0.504 0.496
27 Si 0.702 0.415 0.082
28 Si 0.754 0.754 0.746
29 Si 0.789 0.176 0.822
30 Si 0.830 0.830 0.170
31 O 0.011 0.565 0.000
32 O 0.038 0.190 0.330
33 O 0.038 0.921 0.662
34 O 0.163 0.960 0.969
35 O 0.184 0.314 0.625
36 O 0.190 0.038 0.442
37 O 0.191 0.661 0.285
38 O 0.232 0.498 0.571
39 O 0.242 0.695 0.736
40 O 0.250 0.827 0.239
41 O 0.281 0.342 0.087
42 O 0.314 0.184 0.877
43 O 0.342 0.281 0.290
44 O 0.373 0.625 0.936
45 O 0.387 0.965 0.589
46 O 0.498 0.232 0.699
47 O 0.514 0.923 0.008
48 O 0.519 0.573 0.353
49 O 0.551 0.679 0.752
50 O 0.565 0.011 0.423
51 O 0.573 0.519 0.555
52 O 0.588 0.872 0.212
53 O 0.625 0.373 0.066
54 O 0.661 0.191 0.863
55 O 0.679 0.551 0.018
56 O 0.695 0.242 0.327
57 O 0.695 0.897 0.677
58 O 0.808 0.920 0.060
59 O 0.827 0.250 0.685
60 O 0.872 0.588 0.329
61 O 0.897 0.695 0.731
62 O 0.920 0.808 0.212
63 O 0.921 0.038 0.378
64 O 0.923 0.514 0.555
65 O 0.960 0.163 0.908
66 O 0.965 0.387 0.059



Entry x
Li2CoSi2O6: optimized geometry, PBE+U.

## Properties
The value obtained for the magnetic moment is 0.00 Bohr magnetons per cell.

Cell lengths 7.270, 10.381, 7.304 Å; angles 110.59, 90.01, 90.00 degrees
Atoms (fractional coordinates):
1 Li 0.719 0.833 0.190
2 Li 0.219 0.833 0.690
3 Li 0.469 0.667 0.356
4 Li 0.969 0.667 0.856
5 Li 0.469 0.333 0.644
6 Li 0.969 0.333 0.144
7 Li 0.719 0.166 0.811
8 Li 0.219 0.166 0.311
9 Co 0.217 0.500 0.500
10 Co 0.967 0.000 0.000
11 Co 0.717 0.500 0.001
12 Co 0.467 0.000 0.500
13 Si 0.285 0.836 0.108
14 Si 0.785 0.836 0.608
15 Si 0.536 0.664 0.772
16 Si 0.035 0.664 0.272
17 Si 0.535 0.336 0.229
18 Si 0.035 0.336 0.729
19 Si 0.285 0.164 0.893
20 Si 0.785 0.164 0.393
21 O 0.322 0.987 0.269
22 O 0.822 0.987 0.769
23 O 0.572 0.513 0.782
24 O 0.072 0.513 0.282
25 O 0.571 0.487 0.219
26 O 0.071 0.487 0.719
27 O 0.322 0.013 0.731
28 O 0.822 0.013 0.231
29 O 0.129 0.832 0.946
30 O 0.629 0.832 0.446
31 O 0.879 0.667 0.113
32 O 0.379 0.667 0.613
33 O 0.379 0.333 0.387
34 O 0.879 0.333 0.887
35 O 0.129 0.167 0.054
36 O 0.629 0.167 0.554
37 O 0.234 0.726 0.223
38 O 0.734 0.726 0.723
39 O 0.484 0.773 0.997
40 O 0.984 0.773 0.497
41 O 0.484 0.226 0.004
42 O 0.984 0.226 0.504
43 O 0.234 0.274 0.777
44 O 0.734 0.274 0.277



Tell me which of them is the least stable. Sure, it is entry w.